[1]
# Pr9Al5Se21, relaxed, DFT r2SCAN
data_Pr9Al5Se21
_chemical_formula_sum 'Pr18 Al10 Se42'
_cell_length_a 12.270
_cell_length_b 12.270
_cell_length_c 12.270
_cell_angle_alpha 94.74
_cell_angle_beta 94.74
_cell_angle_gamma 94.74
_space_group_name_H-M_alt 'P 1'
_space_group_IT_number 1
loop_
_space_group_symop_operation_xyz
'x,y,z'
loop_
_atom_site_label
_atom_site_type_symbol
_atom_site_fract_x
_atom_site_fract_y
_atom_site_fract_z
Pr1 Pr 0.023 0.176 0.801
Pr2 Pr 0.046 0.819 0.664
Pr3 Pr 0.143 0.367 0.524
Pr4 Pr 0.146 0.987 0.357
Pr5 Pr 0.176 0.801 0.023
Pr6 Pr 0.331 0.705 0.475
Pr7 Pr 0.357 0.146 0.987
Pr8 Pr 0.367 0.524 0.143
Pr9 Pr 0.467 0.690 0.839
Pr10 Pr 0.475 0.331 0.705
Pr11 Pr 0.524 0.143 0.367
Pr12 Pr 0.664 0.046 0.819
Pr13 Pr 0.690 0.839 0.467
Pr14 Pr 0.705 0.475 0.331
Pr15 Pr 0.801 0.023 0.176
Pr16 Pr 0.819 0.664 0.046
Pr17 Pr 0.839 0.467 0.690
Pr18 Pr 0.987 0.357 0.146
Al1 Al 0.139 0.473 0.816
Al2 Al 0.263 0.263 0.263
Al3 Al 0.312 0.979 0.638
Al4 Al 0.447 0.447 0.447
Al5 Al 0.473 0.816 0.139
Al6 Al 0.638 0.312 0.979
Al7 Al 0.761 0.761 0.761
Al8 Al 0.816 0.139 0.473
Al9 Al 0.945 0.945 0.945
Al10 Al 0.979 0.638 0.312
Se1 Se 0.042 0.600 0.136
Se2 Se 0.072 0.556 0.659
Se3 Se 0.079 0.212 0.318
Se4 Se 0.100 0.761 0.432
Se5 Se 0.136 0.042 0.600
Se6 Se 0.142 0.999 0.899
Se7 Se 0.212 0.318 0.079
Se8 Se 0.222 0.312 0.756
Se9 Se 0.256 0.482 0.351
Se10 Se 0.263 0.597 0.932
Se11 Se 0.285 0.800 0.700
Se12 Se 0.312 0.756 0.222
Se13 Se 0.318 0.079 0.212
Se14 Se 0.351 0.256 0.482
Se15 Se 0.379 0.947 0.463
Se16 Se 0.384 0.532 0.628
Se17 Se 0.407 0.891 0.977
Se18 Se 0.432 0.100 0.761
Se19 Se 0.463 0.379 0.947
Se20 Se 0.482 0.351 0.256
Se21 Se 0.532 0.628 0.384
Se22 Se 0.556 0.659 0.072
Se23 Se 0.589 0.827 0.688
Se24 Se 0.597 0.932 0.263
Se25 Se 0.600 0.136 0.042
Se26 Se 0.628 0.384 0.532
Se27 Se 0.659 0.072 0.556
Se28 Se 0.688 0.589 0.827
Se29 Se 0.700 0.285 0.800
Se30 Se 0.741 0.874 0.966
Se31 Se 0.756 0.222 0.312
Se32 Se 0.761 0.432 0.100
Se33 Se 0.800 0.700 0.285
Se34 Se 0.827 0.688 0.589
Se35 Se 0.874 0.966 0.741
Se36 Se 0.891 0.977 0.407
Se37 Se 0.899 0.142 0.999
Se38 Se 0.932 0.263 0.597
Se39 Se 0.947 0.463 0.379
Se40 Se 0.966 0.741 0.874
Se41 Se 0.977 0.407 0.891
Se42 Se 0.999 0.899 0.142
# Formation enthalpy at 0 K: -1.80 eV per atom
# E: -18.908 eV per atom
# Space group: R3 (146)
# V: 26.10 A^3/atom

[2]
# NdSi3Ir, relaxed, DFT r2SCAN
data_NdSi3Ir
_chemical_formula_sum 'Nd1 Si3 Ir1'
_cell_length_a 5.758
_cell_length_b 5.758
_cell_length_c 5.758
_cell_angle_alpha 136.72
_cell_angle_beta 136.72
_cell_angle_gamma 62.86
_space_group_name_H-M_alt 'P 1'
_space_group_IT_number 1
loop_
_space_group_symop_operation_xyz
'x,y,z'
loop_
_atom_site_label
_atom_site_type_symbol
_atom_site_fract_x
_atom_site_fract_y
_atom_site_fract_z
Nd1 Nd 0.000 0.000 0.000
Si1 Si 0.264 0.764 0.500
Si2 Si 0.415 0.415 0.000
Si3 Si 0.764 0.264 0.500
Ir1 Ir 0.655 0.655 0.000
# Formation enthalpy at 0 K: -0.86 eV per atom
# E: -22.483 eV per atom
# Space group: I4mm (107)
# V: 17.72 A^3/atom

[3]
# Li5TlIn, relaxed, DFT r2SCAN
data_Li5TlIn
_chemical_formula_sum 'Li5 Tl1 In1'
_cell_length_a 7.255
_cell_length_b 7.255
_cell_length_c 7.255
_cell_angle_alpha 37.65
_cell_angle_beta 37.65
_cell_angle_gamma 37.65
_space_group_name_H-M_alt 'P 1'
_space_group_IT_number 1
loop_
_space_group_symop_operation_xyz
'x,y,z'
loop_
_atom_site_label
_atom_site_type_symbol
_atom_site_fract_x
_atom_site_fract_y
_atom_site_fract_z
Li1 Li 0.000 0.000 0.000
Li2 Li 0.140 0.140 0.140
Li3 Li 0.290 0.290 0.290
Li4 Li 0.434 0.434 0.434
Li5 Li 0.575 0.575 0.575
Tl1 Tl 0.862 0.862 0.862
In1 In 0.715 0.715 0.715
# Formation enthalpy at 0 K: -0.31 eV per atom
# E: -12.834 eV per atom
# Space group: R3m (160)
# V: 18.26 A^3/atom

[4]
# Na3CrF6, relaxed, DFT r2SCAN
data_Na3CrF6
_chemical_formula_sum 'Na6 Cr2 F12'
_cell_length_a 5.412
_cell_length_b 5.679
_cell_length_c 9.447
_cell_angle_alpha 90.00
_cell_angle_beta 124.35
_cell_angle_gamma 90.00
_space_group_name_H-M_alt 'P 1'
_space_group_IT_number 1
loop_
_space_group_symop_operation_xyz
'x,y,z'
loop_
_atom_site_label
_atom_site_type_symbol
_atom_site_fract_x
_atom_site_fract_y
_atom_site_fract_z
Na1 Na 0.000 0.000 0.000
Na2 Na 0.000 0.500 0.500
Na3 Na 0.224 0.061 0.744
Na4 Na 0.224 0.439 0.244
Na5 Na 0.776 0.561 0.756
Na6 Na 0.776 0.939 0.256
Cr1 Cr 0.500 0.000 0.500
Cr2 Cr 0.500 0.500 0.000
F1 F 0.159 0.179 0.447
F2 F 0.159 0.321 0.947
F3 F 0.257 0.721 0.427
F4 F 0.257 0.779 0.927
F5 F 0.393 0.057 0.272
F6 F 0.393 0.443 0.772
F7 F 0.607 0.557 0.228
F8 F 0.607 0.943 0.728
F9 F 0.743 0.221 0.073
F10 F 0.743 0.279 0.573
F11 F 0.841 0.679 0.053
F12 F 0.841 0.821 0.553
# Formation enthalpy at 0 K: -3.09 eV per atom
# E: -7.538 eV per atom
# Space group: P2_1/c (14)
# V: 11.99 A^3/atom

[5]
# Hf2Co3Si4, relaxed, DFT r2SCAN
data_Hf2Co3Si4
_chemical_formula_sum 'Hf8 Co12 Si16'
_cell_length_a 6.680
_cell_length_b 5.154
_cell_length_c 13.570
_cell_angle_alpha 90.00
_cell_angle_beta 90.00
_cell_angle_gamma 90.00
_space_group_name_H-M_alt 'P 1'
_space_group_IT_number 1
loop_
_space_group_symop_operation_xyz
'x,y,z'
loop_
_atom_site_label
_atom_site_type_symbol
_atom_site_fract_x
_atom_site_fract_y
_atom_site_fract_z
Hf1 Hf 0.102 0.230 0.146
Hf2 Hf 0.102 0.770 0.646
Hf3 Hf 0.398 0.270 0.646
Hf4 Hf 0.398 0.730 0.146
Hf5 Hf 0.602 0.270 0.854
Hf6 Hf 0.602 0.730 0.354
Hf7 Hf 0.898 0.230 0.354
Hf8 Hf 0.898 0.770 0.854
Co1 Co 0.000 0.276 0.750
Co2 Co 0.000 0.724 0.250
Co3 Co 0.223 0.006 0.482
Co4 Co 0.223 0.994 0.982
Co5 Co 0.277 0.494 0.982
Co6 Co 0.277 0.506 0.482
Co7 Co 0.500 0.224 0.250
Co8 Co 0.500 0.776 0.750
Co9 Co 0.723 0.494 0.518
Co10 Co 0.723 0.506 0.018
Co11 Co 0.777 0.006 0.018
Co12 Co 0.777 0.994 0.518
Si1 Si 0.018 0.285 0.569
Si2 Si 0.018 0.715 0.069
Si3 Si 0.246 0.021 0.813
Si4 Si 0.246 0.979 0.313
Si5 Si 0.254 0.479 0.313
Si6 Si 0.254 0.521 0.813
Si7 Si 0.482 0.215 0.069
Si8 Si 0.482 0.785 0.569
Si9 Si 0.518 0.215 0.431
Si10 Si 0.518 0.785 0.931
Si11 Si 0.746 0.479 0.187
Si12 Si 0.746 0.521 0.687
Si13 Si 0.754 0.021 0.687
Si14 Si 0.754 0.979 0.187
Si15 Si 0.982 0.285 0.931
Si16 Si 0.982 0.715 0.431
# Formation enthalpy at 0 K: -0.71 eV per atom
# E: -19.057 eV per atom
# Space group: Pbcn (60)
# V: 12.98 A^3/atom

[6]
# SiO2, relaxed, DFT r2SCAN
data_SiO2
_chemical_formula_sum 'Si8 O16'
_cell_length_a 7.674
_cell_length_b 7.674
_cell_length_c 7.674
_cell_angle_alpha 106.72
_cell_angle_beta 106.72
_cell_angle_gamma 115.13
_space_group_name_H-M_alt 'P 1'
_space_group_IT_number 1
loop_
_space_group_symop_operation_xyz
'x,y,z'
loop_
_atom_site_label
_atom_site_type_symbol
_atom_site_fract_x
_atom_site_fract_y
_atom_site_fract_z
Si1 Si 0.113 0.755 0.232
Si2 Si 0.119 0.887 0.642
Si3 Si 0.245 0.477 0.358
Si4 Si 0.477 0.245 0.358
Si5 Si 0.523 0.881 0.768
Si6 Si 0.755 0.113 0.232
Si7 Si 0.881 0.523 0.768
Si8 Si 0.887 0.119 0.642
O1 O 0.000 0.283 0.283
O2 O 0.000 0.717 0.717
O3 O 0.016 0.762 0.393
O4 O 0.083 0.083 0.709
O5 O 0.238 0.631 0.253
O6 O 0.283 0.000 0.283
O7 O 0.369 0.623 0.607
O8 O 0.374 0.374 0.291
O9 O 0.377 0.984 0.747
O10 O 0.623 0.369 0.607
O11 O 0.626 0.917 0.000
O12 O 0.631 0.238 0.253
O13 O 0.717 0.000 0.717
O14 O 0.762 0.016 0.393
O15 O 0.917 0.626 0.000
O16 O 0.984 0.377 0.747
# Formation enthalpy at 0 K: -3.01 eV per atom
# E: -9.912 eV per atom
# Space group: I-42m (121)
# V: 14.39 A^3/atom

[7]
# PmF3, relaxed, DFT r2SCAN
data_PmF3
_chemical_formula_sum 'Pm1 F3'
_cell_length_a 4.180
_cell_length_b 4.180
_cell_length_c 4.180
_cell_angle_alpha 127.23
_cell_angle_beta 127.23
_cell_angle_gamma 77.88
_space_group_name_H-M_alt 'P 1'
_space_group_IT_number 1
loop_
_space_group_symop_operation_xyz
'x,y,z'
loop_
_atom_site_label
_atom_site_type_symbol
_atom_site_fract_x
_atom_site_fract_y
_atom_site_fract_z
Pm1 Pm 0.000 0.000 0.000
F1 F 0.250 0.750 0.500
F2 F 0.500 0.500 0.000
F3 F 0.750 0.250 0.500
# Formation enthalpy at 0 K: -4.29 eV per atom
# E: -14.016 eV per atom
# Space group: I4/mmm (139)
# V: 11.22 A^3/atom

[8]
# Cd3Pt, relaxed, DFT r2SCAN
data_Cd3Pt
_chemical_formula_sum 'Cd6 Pt2'
_cell_length_a 5.996
_cell_length_b 5.996
_cell_length_c 4.807
_cell_angle_alpha 90.00
_cell_angle_beta 90.00
_cell_angle_gamma 120.00
_space_group_name_H-M_alt 'P 1'
_space_group_IT_number 1
loop_
_space_group_symop_operation_xyz
'x,y,z'
loop_
_atom_site_label
_atom_site_type_symbol
_atom_site_fract_x
_atom_site_fract_y
_atom_site_fract_z
Cd1 Cd 0.171 0.342 0.250
Cd2 Cd 0.171 0.829 0.250
Cd3 Cd 0.342 0.171 0.750
Cd4 Cd 0.658 0.829 0.250
Cd5 Cd 0.829 0.171 0.750
Cd6 Cd 0.829 0.658 0.750
Pt1 Pt 0.333 0.667 0.750
Pt2 Pt 0.667 0.333 0.250
# Formation enthalpy at 0 K: -0.24 eV per atom
# E: -28.188 eV per atom
# Space group: P6_3/mmc (194)
# V: 18.71 A^3/atom